Here is a relaxed Er4Ni13C4 crystal from the Materials Project. Energies are from r2SCAN.

Summary:
- Calculated total energy: -16.14 eV per atom
- Crystal system: orthorhombic

The structure in CIF format:
```
data_Er4Ni13C4
_cell_length_a 11.591
_cell_length_b 11.860
_cell_length_c 3.807
_cell_angle_alpha 90.00
_cell_angle_beta 90.00
_cell_angle_gamma 90.00
_symmetry_space_group_name_H-M 'C m m m'
_symmetry_Int_Tables_number 65
_symmetry_space_group_name_Hall '-C 2 2'
loop_
_atom_site_label
_atom_site_fract_x
_atom_site_fract_y
_atom_site_fract_z
_atom_site_occupancy
Er1 0.000 0.187 0.000 1
Er2 0.152 0.500 0.000 1
Ni1 0.000 0.000 0.500 1
Ni2 0.107 0.323 0.500 1
Ni3 0.124 0.000 0.000 1
Ni4 0.183 0.108 0.500 1
Ni5 0.250 0.250 0.000 1
C1 0.000 0.443 0.500 1
C2 0.250 0.250 0.500 1
```

***

Here is a relaxed Al2Fe3Si3 crystal from the Materials Project. Energies are from r2SCAN.

Summary:
- Calculated total energy: -10.67 eV per atom
- Crystal system: triclinic

The structure in CIF format:
```
data_Al2Fe3Si3
_cell_length_a 4.557
_cell_length_b 6.265
_cell_length_c 7.386
_cell_angle_alpha 101.83
_cell_angle_beta 106.77
_cell_angle_gamma 100.61
_symmetry_space_group_name_H-M 'P -1'
_symmetry_Int_Tables_number 2
loop_
_symmetry_equiv_pos_as_xyz
'x,y,z'
'-x,-y,-z'
loop_
_atom_site_label
_atom_site_fract_x
_atom_site_fract_y
_atom_site_fract_z
_atom_site_occupancy
Al1 0.051 0.145 0.272 1
Al2 0.413 0.175 0.050 1
Fe1 0.039 0.792 0.414 1
Fe2 0.135 0.818 0.057 1
Fe3 0.365 0.528 0.233 1
Si1 0.180 0.477 0.888 1
Si2 0.275 0.542 0.532 1
Si3 0.458 0.087 0.652 1
```